The following is a DFT calculation (PBE-GGA) of a relaxed TeMoWSeS2 crystal.

The raw total energy comes out at -83.90 eV for the cell shown. The value obtained for the formation energy is -0.7067 eV per atom. Its volume is 29.77 A^3/atom. The crystal system is trigonal. The energy above the most stable polymorph in this dataset is 53 meV per atom.

a b c (Å): 3.3105 3.3105 37.6373
angles (deg): 90.00 90.00 120.00
Atoms (fractional coordinates):
1 Te 0.3333 0.6667 0.6064
2 Te 0.3333 0.6667 0.7086
3 S 0.3333 0.6667 0.3224
4 S 0.6667 0.3333 0.5102
5 S 0.3333 0.6667 0.2412
6 S 0.6667 0.3333 0.4291
7 Mo 0.3333 0.6667 0.4696
8 Mo 0.6667 0.3333 0.2818
9 Se 0.6667 0.3333 0.0491
10 Se 0.6667 0.3333 0.1388
11 W 0.6667 0.3333 0.6576
12 W 0.3333 0.6667 0.0939